No. 1
Crystalline Yb5Mg at its relaxed geometry, computed with meta-GGA r2SCAN.

Results
For the energy of formation, the calculation gives -17.2 meV per atom. The calculated density comes out at 8.6 g/cm³. Its raw total energy is -373.839 eV for the cell shown.

Unit cell a=12.598 b=3.499 c=8.124 alpha=90.00 beta=105.43 gamma=90.00
Space group Cm (No. 8)
Symmetry-distinct sites (fractional):
Yb 0.000 0.000 0.000
Yb 0.045 0.000 0.607
Yb 0.155 0.500 0.337
Yb 0.327 0.000 0.670
Yb 0.376 0.000 0.267
Mg 0.217 0.500 0.942

---

No. 2
Crystalline Cd43Pd8 at its relaxed geometry, computed with meta-GGA r2SCAN.

Results
For the energy of formation, the calculation gives -184.5 meV per atom. The calculated density comes out at 9.3 g/cm³. Its raw total energy is -3172.819 eV for the cell shown.

Unit cell a=14.2257 b=14.2257 c=17.3765 alpha=90.00 beta=90.00 gamma=120.00
Space group R3m (No. 160, hexagonal axes)
Symmetry-distinct sites (fractional):
Cd 0.0000 0.0000 0.0000
Cd 0.0423 0.3441 0.5483
Cd 0.0440 0.3458 0.0475
Cd 0.0780 0.1560 0.6052
Cd 0.0862 0.1724 0.1164
Cd 0.0958 0.5479 0.4403
Cd 0.0955 0.5478 0.9436
Cd 0.1343 0.0672 0.3682
Cd 0.1405 0.0703 0.8601
Cd 0.2143 0.4286 0.6819
Cd 0.2159 0.4318 0.8772
Cd 0.2173 0.4345 0.3710
Cd 0.2181 0.4363 0.1820
Pd 0.0000 0.0000 0.2274
Pd 0.0000 0.0000 0.7246
Pd 0.0984 0.5492 0.1181
Pd 0.1048 0.5524 0.6200

---

No. 3
Crystalline Cr2SiO4 at its relaxed geometry, computed with meta-GGA r2SCAN.

Results
For the energy of formation, the calculation gives -2284.0 meV per atom. The calculated density comes out at 4.2 g/cm³. Its raw total energy is -630.388 eV for the cell shown.

Unit cell a=5.655 b=9.867 c=11.222 alpha=90.00 beta=90.00 gamma=90.00
Space group Fddd (No. 70, origin choice 2)
Symmetry-distinct sites (fractional):
Cr 0.125 0.280 0.125
Si 0.125 0.125 0.625
O 0.043 0.272 0.952

---

No. 4
Crystalline Hf3Ge at its relaxed geometry, computed with meta-GGA r2SCAN.

Results
For the energy of formation, the calculation gives -523.5 meV per atom. The calculated density comes out at 12.5 g/cm³. Its raw total energy is -1211.361 eV for the cell shown.

Unit cell a=10.917 b=10.917 c=5.406 alpha=90.00 beta=90.00 gamma=90.00
Space group P4_2/n (No. 86, origin choice 2)
Symmetry-distinct sites (fractional):
Hf 0.034 0.932 0.245
Hf 0.109 0.277 0.028
Hf 0.143 0.833 0.724
Ge 0.046 0.291 0.536

---

No. 5
Crystalline DySiPt2 at its relaxed geometry, computed with meta-GGA r2SCAN.

Results
For the energy of formation, the calculation gives -1269.8 meV per atom. The calculated density comes out at 13.9 g/cm³. Its raw total energy is -595.241 eV for the cell shown.

Unit cell a=7.294 b=6.922 c=5.513 alpha=90.00 beta=90.00 gamma=90.00
Space group Pnma (No. 62)
Symmetry-distinct sites (fractional):
Dy 0.026 0.250 0.137
Si 0.121 0.750 0.363
Pt 0.181 0.051 0.591

---

No. 6
Crystalline CrHO2 at its relaxed geometry, computed with meta-GGA r2SCAN.

Results
For the energy of formation, the calculation gives -1932.9 meV per atom. The calculated density comes out at 4.3 g/cm³. Its raw total energy is -152.821 eV for the cell shown.

Unit cell a=9.800 b=2.986 c=4.439 alpha=90.00 beta=90.00 gamma=90.00
Space group Pnma (No. 62)
Symmetry-distinct sites (fractional):
Cr 0.139 0.250 0.046
H 0.095 0.750 0.583
O 0.057 0.750 0.795
O 0.194 0.750 0.306

---

No. 7
Crystalline Ni8Bi8S at its relaxed geometry, computed with meta-GGA r2SCAN.

Results
For the energy of formation, the calculation gives -85.3 meV per atom. The calculated density comes out at 9.3 g/cm³. Its raw total energy is -1146.711 eV for the cell shown.

Unit cell a=10.338 b=17.990 c=4.176 alpha=90.00 beta=90.00 gamma=90.00
Space group P2_12_12 (No. 18)
Symmetry-distinct sites (fractional):
Ni 0.057 0.104 0.001
Ni 0.089 0.905 0.499
Ni 0.171 0.052 0.501
Ni 0.183 0.969 0.000
Bi 0.102 0.196 0.496
Bi 0.159 0.439 0.504
Bi 0.165 0.820 0.005
Bi 0.184 0.596 0.996
S 0.000 0.000 0.751

---

No. 8
Crystalline Be3Ni at its relaxed geometry, computed with meta-GGA r2SCAN.

Results
For the energy of formation, the calculation gives -281.4 meV per atom. The calculated density comes out at 4.2 g/cm³. Its raw total energy is -52.243 eV for the cell shown.

Unit cell a=4.5819 b=4.5819 c=3.6859 alpha=90.00 beta=90.00 gamma=120.00
Space group P6_3/mmc (No. 194)
Symmetry-distinct sites (fractional):
Be 0.1669 0.3337 0.2500
Ni 0.3333 0.6667 0.7500

---

No. 9
Crystalline Sc3Co at its relaxed geometry, computed with meta-GGA r2SCAN.

Results
For the energy of formation, the calculation gives -119.4 meV per atom. The calculated density comes out at 4.0 g/cm³. Its raw total energy is -383.260 eV for the cell shown.

Unit cell a=12.989 b=8.559 c=5.844 alpha=90.00 beta=90.00 gamma=90.00
Space group Pnma (No. 62)
Symmetry-distinct sites (fractional):
Sc 0.036 0.065 0.244
Sc 0.107 0.250 0.711
Sc 0.146 0.750 0.450
Sc 0.212 0.568 0.903
Co 0.060 0.750 0.052
Co 0.181 0.250 0.119

---

No. 10
Crystalline TbZn12 at its relaxed geometry, computed with meta-GGA r2SCAN.

Results
For the energy of formation, the calculation gives -210.7 meV per atom. The calculated density comes out at 8.0 g/cm³. Its raw total energy is -281.785 eV for the cell shown.

Unit cell a=8.790 b=8.790 c=5.087 alpha=90.00 beta=90.00 gamma=90.00
Space group I4/mmm (No. 139)
Symmetry-distinct sites (fractional):
Tb 0.000 0.000 0.000
Zn 0.000 0.217 0.500
Zn 0.000 0.354 0.000
Zn 0.250 0.250 0.250

---

No. 11
Crystalline LaBPt2 at its relaxed geometry, computed with meta-GGA r2SCAN.

Results
For the energy of formation, the calculation gives -1024.9 meV per atom. The calculated density comes out at 12.6 g/cm³. Its raw total energy is -432.499 eV for the cell shown.

Unit cell a=5.5512 b=5.5512 c=7.9836 alpha=90.00 beta=90.00 gamma=120.00
Space group P6_222 (No. 180)
Symmetry-distinct sites (fractional):
La 0.0000 0.5000 0.1667
B 0.0000 0.5000 0.6667
Pt 0.1545 0.3089 0.5000

---

No. 12
Crystalline TbGa5Co at its relaxed geometry, computed with meta-GGA r2SCAN.

Results
For the energy of formation, the calculation gives -469.0 meV per atom. The calculated density comes out at 8.0 g/cm³. Its raw total energy is -104.957 eV for the cell shown.

Unit cell a=4.177 b=4.177 c=6.778 alpha=90.00 beta=90.00 gamma=90.00
Space group P4/mmm (No. 123)
Symmetry-distinct sites (fractional):
Tb 0.000 0.000 0.000
Ga 0.000 0.500 0.312
Ga 0.500 0.500 0.000
Co 0.000 0.000 0.500